This record from the Materials Project describes crystalline Cs3K5Mo8P8O44 at its relaxed geometry. The functional is GGA+U.

Computed properties:
size of the total moment	0.0	μB per cell
SG	P1, No. 1
ρ	3.65	g/cm3
total energy	-6.860	eV per atom
ΔE_f	-2446	meV/atom

Lattice parameters (Å, degrees): 10.029 10.295 10.362 90.02 90.08 100.09
Atoms (fractional coordinates):
P 0.323 0.400 0.637
P 0.349 0.125 0.936
P 0.651 0.876 0.064
P 0.177 0.598 0.139
P 0.677 0.599 0.361
P 0.151 0.875 0.436
P 0.823 0.401 0.862
P 0.849 0.125 0.564
O 0.774 0.482 0.975
O 0.447 0.721 0.563
O 0.917 0.797 0.195
O 0.807 0.075 0.702
O 0.226 0.745 0.106
O 0.192 0.926 0.298
O 0.480 0.434 0.646
O 0.447 0.065 0.240
O 0.313 0.263 0.969
O 0.519 0.566 0.352
O 0.583 0.204 0.695
O 0.273 0.254 0.601
O 0.726 0.981 0.968
O 0.019 0.565 0.147
O 0.996 0.863 0.451
O 0.274 0.019 0.031
O 0.766 0.443 0.732
O 0.227 0.519 0.024
O 0.981 0.434 0.852
O 0.004 0.138 0.549
O 0.262 0.441 0.765
O 0.188 0.738 0.467
O 0.226 0.981 0.532
O 0.505 0.137 0.951
O 0.774 0.020 0.468
O 0.050 0.937 0.739
O 0.688 0.738 0.033
O 0.055 0.279 0.066
O 0.273 0.481 0.523
O 0.083 0.204 0.805
O 0.952 0.063 0.262
O 0.812 0.262 0.533
O 0.774 0.255 0.895
O 0.726 0.518 0.475
O 0.496 0.863 0.050
O 0.693 0.926 0.203
O 0.417 0.797 0.305
O 0.308 0.076 0.798
O 0.726 0.745 0.395
O 0.237 0.555 0.266
O 0.550 0.937 0.761
O 0.947 0.722 0.935
O 0.551 0.279 0.435
O 0.734 0.557 0.232
Mo 0.143 0.085 0.681
Mo 0.634 0.344 0.574
Mo 0.858 0.916 0.319
Mo 0.137 0.345 0.926
Mo 0.364 0.655 0.425
Mo 0.643 0.085 0.819
Mo 0.357 0.916 0.182
Mo 0.865 0.655 0.075
Cs 0.758 0.753 0.694
Cs 0.742 0.247 0.195
Cs 0.263 0.753 0.808
K 0.999 0.497 0.539
K 0.500 0.000 0.500
K 0.501 0.502 0.039
K 0.237 0.244 0.314
K 0.000 0.000 0.000